Run one
First-principles (GGA-PBE) data for a relaxed structure of CaReN2, as listed in the Materials Project database.

a = 5.550 Å, b = 10.421 Å, c = 15.747 Å
α = 90.00°, β = 90.00°, γ = 90.00°
Fractional coordinates of all 64 atoms:
N  0.338  0.749  0.549
N  0.838  0.749  0.951
Re  0.777  0.967  0.677
N  0.847  0.576  0.588
N  0.347  0.924  0.412
N  0.719  0.712  0.184
Ca  0.869  0.204  0.815
N  0.219  0.788  0.816
Re  0.223  0.033  0.323
Ca  0.131  0.704  0.685
Re  0.677  0.755  0.061
N  0.219  0.712  0.316
Re  0.723  0.033  0.177
Ca  0.247  0.494  0.554
N  0.153  0.076  0.912
Re  0.177  0.755  0.439
Re  0.323  0.255  0.439
Re  0.723  0.467  0.677
Ca  0.747  0.494  0.946
Ca  0.253  0.506  0.054
Ca  0.753  0.506  0.446
Re  0.277  0.967  0.823
N  0.281  0.212  0.316
Ca  0.253  0.994  0.554
N  0.847  0.924  0.088
N  0.653  0.076  0.588
Re  0.677  0.745  0.561
N  0.598  0.011  0.786
N  0.662  0.249  0.951
Ca  0.747  0.006  0.446
Ca  0.369  0.296  0.185
N  0.781  0.288  0.684
N  0.162  0.251  0.049
Re  0.177  0.745  0.939
Re  0.823  0.245  0.561
N  0.781  0.212  0.184
N  0.902  0.989  0.286
N  0.662  0.251  0.451
Ca  0.247  0.006  0.054
Ca  0.131  0.796  0.185
Ca  0.631  0.704  0.815
N  0.098  0.011  0.714
Ca  0.369  0.204  0.685
N  0.598  0.489  0.286
N  0.838  0.751  0.451
Ca  0.631  0.796  0.315
Ca  0.869  0.296  0.315
Re  0.777  0.533  0.177
N  0.153  0.424  0.412
Re  0.823  0.255  0.061
N  0.402  0.989  0.214
N  0.347  0.576  0.912
N  0.098  0.489  0.214
N  0.719  0.788  0.684
N  0.402  0.511  0.714
N  0.338  0.751  0.049
Re  0.277  0.533  0.323
Ca  0.753  0.994  0.946
N  0.162  0.249  0.549
N  0.653  0.424  0.088
N  0.281  0.288  0.816
Re  0.223  0.467  0.823
Re  0.323  0.245  0.939
N  0.902  0.511  0.786

Run two
First-principles (GGA-PBE) data for a relaxed structure of CaReN2, as listed in the Materials Project database.

a = 5.703 Å, b = 5.703 Å, c = 5.703 Å
α = 32.12°, β = 32.12°, γ = 32.12°
Fractional coordinates of all 4 atoms:
N  0.763  0.763  0.763
N  0.237  0.237  0.237
Ca  0.000  0.000  0.000
Re  0.500  0.500  0.500

Which structure is the most stable? The one labeled run two.